1.
DFT (PBE) results for a geometry-optimized Sc2H10S3O17 structure.

Cell lengths 6.797, 11.240, 12.403 Å; angles 91.82, 94.86, 101.04 degrees
Fractional positions:
Sc 0.000 0.000 0.000
Sc 0.000 0.000 0.500
Sc 0.414 0.735 0.261
Sc 0.586 0.265 0.739
H 0.177 0.237 0.021
H 0.204 0.114 0.376
H 0.214 0.452 0.223
H 0.230 0.366 0.705
H 0.280 0.864 0.823
H 0.288 0.119 0.421
H 0.353 0.958 0.283
H 0.374 0.435 0.623
H 0.405 0.594 0.521
H 0.455 0.158 0.122
H 0.545 0.842 0.878
H 0.595 0.406 0.479
H 0.626 0.565 0.377
H 0.647 0.042 0.717
H 0.712 0.881 0.579
H 0.720 0.136 0.177
H 0.770 0.634 0.295
H 0.786 0.548 0.777
H 0.796 0.886 0.624
H 0.823 0.763 0.979
S 0.158 0.735 0.468
S 0.186 0.749 0.005
S 0.205 0.033 0.768
S 0.795 0.967 0.232
S 0.814 0.251 0.995
S 0.842 0.265 0.532
O 0.022 0.320 0.015
O 0.023 0.328 0.490
O 0.029 0.988 0.828
O 0.136 0.868 0.457
O 0.151 0.020 0.651
O 0.174 0.684 0.354
O 0.185 0.881 0.033
O 0.238 0.159 0.017
O 0.287 0.703 0.104
O 0.301 0.156 0.803
O 0.304 0.745 0.912
O 0.309 0.144 0.129
O 0.349 0.942 0.793
O 0.350 0.735 0.534
O 0.371 0.381 0.688
O 0.396 0.503 0.511
O 0.419 0.894 0.311
O 0.581 0.106 0.689
O 0.604 0.497 0.489
O 0.629 0.619 0.312
O 0.650 0.265 0.466
O 0.651 0.058 0.207
O 0.691 0.856 0.871
O 0.696 0.255 0.088
O 0.699 0.844 0.197
O 0.713 0.297 0.896
O 0.762 0.841 0.983
O 0.815 0.119 0.967
O 0.826 0.316 0.646
O 0.849 0.980 0.349
O 0.864 0.132 0.543
O 0.971 0.012 0.172
O 0.977 0.672 0.510
O 0.978 0.680 0.985

Properties
excess energy over the best structure of this formula in the dataset = 0.0 meV/atom
V = 925.6 Å³/cell
space group = P-1, No. 2
total magnetic moment = 1.00 μB per formula unit
energy relative to the elements = -1.564 eV/atom
energy with MP2020 corrections = -0.2218 hartree per atom

---

2.
DFT (PBE) results for a geometry-optimized SmHSO5 structure.

Cell lengths 4.494, 12.347, 7.050 Å; angles 90.00, 111.20, 90.00 degrees
Fractional positions:
Sm 0.160 0.063 0.302
Sm 0.160 0.437 0.802
Sm 0.840 0.563 0.198
Sm 0.840 0.937 0.698
H 0.212 0.658 0.984
H 0.212 0.842 0.484
H 0.788 0.158 0.516
H 0.788 0.342 0.016
S 0.404 0.147 0.886
S 0.404 0.353 0.386
S 0.596 0.647 0.614
S 0.596 0.853 0.114
O 0.204 0.067 0.952
O 0.204 0.433 0.452
O 0.219 0.247 0.822
O 0.219 0.253 0.322
O 0.238 0.585 0.045
O 0.238 0.915 0.545
O 0.297 0.668 0.444
O 0.297 0.832 0.944
O 0.465 0.098 0.710
O 0.465 0.402 0.210
O 0.535 0.598 0.790
O 0.535 0.902 0.290
O 0.703 0.168 0.056
O 0.703 0.332 0.556
O 0.762 0.085 0.455
O 0.762 0.415 0.955
O 0.781 0.747 0.678
O 0.781 0.753 0.178
O 0.796 0.567 0.548
O 0.796 0.933 0.048

Properties
V = 364.7 Å³/cell
space group = P2_1/c, No. 14
total magnetic moment = 0.00 μB per formula unit
energy relative to the elements = -2.524 eV/atom
energy with MP2020 corrections = -0.2627 hartree per atom

---

3.
DFT (PBE) results for a geometry-optimized SrH4S3O12 structure.

Cell lengths 6.041, 8.574, 10.390 Å; angles 81.47, 83.53, 70.83 degrees
Fractional positions:
Sr 0.002 0.261 0.441
Sr 0.998 0.739 0.559
H 0.007 0.978 0.867
H 0.244 0.596 0.131
H 0.441 0.221 0.655
H 0.499 0.152 0.085
H 0.501 0.848 0.915
H 0.559 0.779 0.345
H 0.756 0.404 0.869
H 0.993 0.022 0.133
S 0.123 0.224 0.065
S 0.338 0.992 0.678
S 0.382 0.545 0.324
S 0.618 0.455 0.676
S 0.662 0.008 0.322
S 0.877 0.776 0.935
O 0.011 0.705 0.047
O 0.044 0.305 0.182
O 0.151 0.034 0.098
O 0.158 0.971 0.604
O 0.181 0.499 0.393
O 0.287 0.956 0.820
O 0.295 0.186 0.645
O 0.344 0.722 0.341
O 0.380 0.214 0.018
O 0.390 0.528 0.176
O 0.391 0.566 0.638
O 0.421 0.095 0.362
O 0.579 0.905 0.638
O 0.609 0.434 0.362
O 0.610 0.472 0.824
O 0.620 0.786 0.982
O 0.656 0.278 0.659
O 0.705 0.814 0.355
O 0.713 0.044 0.180
O 0.819 0.501 0.607
O 0.842 0.029 0.396
O 0.849 0.966 0.902
O 0.956 0.695 0.818
O 0.989 0.295 0.953

Properties
V = 501.5 Å³/cell
space group = P-1, No. 2
total magnetic moment = 0.00 μB per formula unit
energy relative to the elements = -1.894 eV/atom
energy with MP2020 corrections = -0.2296 hartree per atom